No. 1
Below is crystalline CuBiO4 at its relaxed geometry, with properties calculated at the GGA-PBE level.

Lattice parameters (Å, degrees): 9.635 6.435 10.844 86.80 90.00 90.00
Atoms (fractional coordinates):
O  0.309  0.819  0.526
O  0.165  0.069  0.831
O  0.835  0.931  0.169
O  0.415  0.523  0.403
O  0.085  0.523  0.903
O  0.335  0.069  0.331
O  0.419  0.197  0.690
O  0.581  0.803  0.310
O  0.524  0.910  0.896
O  0.650  0.375  0.209
O  0.915  0.477  0.097
O  0.191  0.343  0.549
O  0.476  0.090  0.104
O  0.459  0.645  0.100
O  0.665  0.931  0.669
O  0.024  0.090  0.604
O  0.919  0.803  0.810
O  0.541  0.355  0.900
O  0.809  0.181  0.974
O  0.191  0.819  0.026
O  0.081  0.197  0.190
O  0.585  0.477  0.597
O  0.150  0.625  0.291
O  0.041  0.645  0.600
O  0.309  0.343  0.049
O  0.350  0.625  0.791
O  0.691  0.657  0.951
O  0.850  0.375  0.709
O  0.691  0.181  0.474
O  0.809  0.657  0.451
O  0.976  0.910  0.396
O  0.959  0.355  0.400
Bi  0.639  0.481  0.389
Bi  0.361  0.519  0.611
Bi  0.870  0.859  0.609
Bi  0.130  0.141  0.391
Bi  0.370  0.141  0.891
Bi  0.139  0.519  0.111
Bi  0.630  0.859  0.109
Bi  0.861  0.481  0.889
Cu  0.899  0.191  0.120
Cu  0.985  0.631  0.377
Cu  0.015  0.369  0.623
Cu  0.399  0.809  0.380
Cu  0.601  0.191  0.620
Cu  0.485  0.369  0.123
Cu  0.101  0.809  0.880
Cu  0.515  0.631  0.877

Output
Density ... 6.66 g/cm³

***

No. 2
Below is crystalline CuBiO3 at its relaxed geometry, with properties calculated at the GGA-PBE level.

Lattice parameters (Å, degrees): 3.850 3.850 3.850 90.00 90.00 90.00
Atoms (fractional coordinates):
Cu  0.000  0.000  0.000
O  0.500  0.000  0.000
O  0.000  0.000  0.500
O  0.000  0.500  0.000
Bi  0.500  0.500  0.500

Output
Density ... 9.33 g/cm³

***

No. 3
Below is crystalline Cu3Bi2P2O14 at its relaxed geometry, with properties calculated at the GGA-PBE level.

Lattice parameters (Å, degrees): 7.256 7.256 9.454 53.78 53.78 49.90
Atoms (fractional coordinates):
O  0.035  0.609  0.726
O  0.609  0.035  0.726
O  0.113  0.113  0.552
O  0.841  0.841  0.985
O  0.159  0.159  0.015
O  0.367  0.367  0.937
O  0.887  0.887  0.448
O  0.965  0.391  0.274
O  0.350  0.350  0.264
O  0.650  0.650  0.736
O  0.797  0.203  0.000
O  0.391  0.965  0.274
O  0.203  0.797  0.000
O  0.633  0.633  0.063
Cu  0.500  0.000  0.000
Cu  0.500  0.500  0.000
Cu  0.000  0.500  0.000
Bi  0.831  0.831  0.235
Bi  0.169  0.169  0.765
P  0.200  0.200  0.342
P  0.800  0.800  0.658

Output
Distance to the lowest polymorph of the same formula ... 0.0000 eV per atom
Density ... 5.14 g/cm³

***

No. 4
Below is crystalline Cu2BiPO6 at its relaxed geometry, with properties calculated at the GGA-PBE level.

Lattice parameters (Å, degrees): 5.174 7.885 12.032 90.05 90.00 90.00
Atoms (fractional coordinates):
O  0.750  0.725  0.767
O  0.750  0.420  0.702
O  0.998  0.823  0.006
O  0.750  0.775  0.267
O  0.002  0.323  0.494
O  0.500  0.507  0.875
O  0.502  0.677  0.506
O  0.002  0.177  0.994
O  0.500  0.993  0.375
O  0.500  0.493  0.125
O  0.250  0.920  0.798
O  0.000  0.507  0.875
O  0.250  0.580  0.298
O  0.000  0.007  0.625
O  0.250  0.275  0.233
O  0.998  0.677  0.506
O  0.750  0.080  0.202
O  0.500  0.007  0.625
O  0.000  0.493  0.125
O  0.250  0.225  0.733
O  0.502  0.823  0.006
O  0.000  0.993  0.375
O  0.498  0.323  0.494
O  0.498  0.177  0.994
P  0.250  0.463  0.197
P  0.750  0.963  0.303
P  0.250  0.037  0.697
P  0.750  0.537  0.803
Bi  0.250  0.473  0.611
Bi  0.250  0.027  0.111
Bi  0.750  0.527  0.389
Bi  0.750  0.972  0.889
Cu  0.250  0.188  0.411
Cu  0.750  0.688  0.088
Cu  0.750  0.317  0.069
Cu  0.250  0.312  0.912
Cu  0.750  0.183  0.569
Cu  0.250  0.817  0.431
Cu  0.250  0.683  0.931
Cu  0.750  0.812  0.588

Output
Density ... 6.27 g/cm³

***

No. 5
Below is crystalline CuBiP2O8 at its relaxed geometry, with properties calculated at the GGA-PBE level.

Lattice parameters (Å, degrees): 6.287 5.400 10.356 83.72 90.00 90.00
Atoms (fractional coordinates):
Bi  0.250  0.555  0.213
Bi  0.750  0.445  0.787
O  0.250  0.652  0.848
O  0.250  0.775  0.396
O  0.055  0.236  0.830
O  0.941  0.796  0.669
O  0.750  0.348  0.152
O  0.750  0.675  0.962
O  0.559  0.796  0.669
O  0.750  0.225  0.604
O  0.250  0.105  0.550
O  0.945  0.764  0.170
O  0.445  0.236  0.830
O  0.555  0.764  0.170
O  0.059  0.204  0.331
O  0.441  0.204  0.331
O  0.250  0.325  0.038
O  0.750  0.895  0.450
Cu  0.250  0.843  0.684
Cu  0.750  0.157  0.316
P  0.250  0.363  0.888
P  0.750  0.945  0.595
P  0.250  0.055  0.405
P  0.750  0.637  0.112

Output
Density ... 4.39 g/cm³

***

No. 6
Below is crystalline Cu3Bi2P2O14 at its relaxed geometry, with properties calculated at the GGA-PBE level.

Lattice parameters (Å, degrees): 6.111 9.417 22.336 116.67 90.00 90.00
Atoms (fractional coordinates):
O  0.565  0.631  0.874
O  0.291  0.590  0.954
O  0.043  0.817  0.035
O  0.788  0.368  0.796
O  0.004  0.932  0.218
O  0.435  0.369  0.126
O  0.756  0.105  0.057
O  0.244  0.895  0.943
O  0.072  0.412  0.709
O  0.212  0.632  0.204
O  0.723  0.353  0.927
O  0.744  0.605  0.557
O  0.751  0.881  0.955
O  0.428  0.912  0.209
O  0.251  0.619  0.545
O  0.223  0.147  0.573
O  0.222  0.106  0.181
O  0.778  0.894  0.819
O  0.935  0.131  0.374
O  0.748  0.840  0.701
O  0.752  0.340  0.201
O  0.496  0.432  0.718
O  0.791  0.910  0.546
O  0.957  0.183  0.965
O  0.928  0.588  0.291
O  0.466  0.843  0.041
O  0.709  0.410  0.046
O  0.277  0.647  0.073
O  0.288  0.132  0.704
O  0.457  0.317  0.535
O  0.722  0.394  0.319
O  0.504  0.568  0.282
O  0.278  0.606  0.681
O  0.471  0.885  0.621
O  0.749  0.381  0.455
O  0.218  0.851  0.307
O  0.248  0.660  0.799
O  0.777  0.853  0.427
O  0.782  0.149  0.693
O  0.029  0.385  0.121
O  0.996  0.068  0.782
O  0.966  0.657  0.459
O  0.543  0.683  0.465
O  0.529  0.115  0.379
O  0.534  0.157  0.959
O  0.971  0.615  0.879
O  0.282  0.351  0.807
O  0.065  0.869  0.626
O  0.034  0.343  0.541
O  0.712  0.868  0.296
O  0.572  0.088  0.791
O  0.249  0.119  0.045
O  0.718  0.649  0.193
O  0.252  0.160  0.299
O  0.256  0.395  0.443
O  0.209  0.090  0.454
Bi  0.210  0.395  0.210
Bi  0.710  0.105  0.290
Bi  0.254  0.355  0.037
Bi  0.754  0.145  0.463
Bi  0.246  0.855  0.537
Bi  0.790  0.605  0.790
Bi  0.746  0.645  0.963
Bi  0.290  0.895  0.710
Cu  0.500  0.500  0.500
Cu  0.268  0.624  0.876
Cu  0.000  0.000  0.000
Cu  0.964  0.751  0.251
Cu  0.232  0.124  0.376
Cu  0.500  0.000  0.000
Cu  0.000  0.500  0.500
Cu  0.732  0.376  0.124
Cu  0.768  0.876  0.624
Cu  0.464  0.749  0.249
Cu  0.036  0.249  0.749
Cu  0.536  0.251  0.751
P  0.735  0.269  0.972
P  0.265  0.731  0.028
P  0.777  0.978  0.775
P  0.723  0.478  0.275
P  0.765  0.769  0.472
P  0.277  0.522  0.725
P  0.235  0.231  0.528
P  0.223  0.022  0.225

Output
Distance to the lowest polymorph of the same formula ... 0.0027 eV per atom
Density ... 5.17 g/cm³

***

For each record above, in turn, the calculated total DFT energy (no corrections) values are -30.44; -26.23; -122.43; -60.60; -78.03; -122.38 eV/f.u..
For each record above, in turn, the calculated formation energy values are -0.90; -1.09; -1.52; -1.75; -2.09; -1.52 eV/atom.